[1]
Crystalline Ba5B4O11 at its relaxed geometry. Source: the Materials Project database, functional PBE.

Volume in Å³/atom: 15.93
Mass density in g cm⁻³: 4.72
DFT formation energy in eV per atom: -3.1508

a = 9.738 Å, b = 16.924 Å, c = 23.203 Å
α = 90.00°, β = 90.00°, γ = 90.00°
Sites, in units of the cell vectors:
B1 0.555 0.183 0.175
B2 0.059 0.691 0.491
B3 0.567 0.175 0.849
B4 0.055 0.317 0.825
B5 0.864 0.507 0.660
B6 0.136 0.007 0.840
B7 0.951 0.187 0.327
B8 0.624 0.508 0.842
B9 0.067 0.325 0.151
B10 0.925 0.805 0.992
B11 0.850 0.956 0.407
B12 0.451 0.313 0.673
B13 0.150 0.456 0.093
B14 0.941 0.191 0.009
B15 0.610 0.495 0.485
B16 0.774 0.076 0.739
B17 0.726 0.924 0.239
B18 0.274 0.424 0.261
B19 0.049 0.687 0.173
B20 0.572 0.815 0.185
B21 0.628 0.971 0.071
B22 0.072 0.685 0.815
B23 0.372 0.471 0.429
B24 0.872 0.029 0.571
B25 0.559 0.809 0.509
B26 0.945 0.817 0.675
B27 0.890 0.505 0.985
B28 0.376 0.008 0.658
B29 0.226 0.576 0.761
B30 0.124 0.992 0.158
B31 0.110 0.005 0.515
B32 0.441 0.309 0.991
B33 0.445 0.683 0.325
B34 0.350 0.544 0.593
B35 0.075 0.305 0.508
B36 0.428 0.315 0.315
B37 0.933 0.825 0.349
B38 0.575 0.195 0.492
B39 0.390 0.995 0.015
B40 0.650 0.044 0.907
B41 0.928 0.185 0.685
B42 0.128 0.529 0.929
B43 0.364 0.993 0.340
B44 0.876 0.492 0.342
B45 0.425 0.695 0.008
B46 0.636 0.493 0.160
B47 0.549 0.813 0.827
B48 0.433 0.675 0.651
O1 0.869 0.032 0.389
O2 0.255 0.572 0.555
O3 0.602 0.576 0.487
O4 0.409 0.342 0.938
O5 0.131 0.532 0.111
O6 0.714 0.451 0.507
O7 0.339 0.079 0.684
O8 0.048 0.806 0.319
O9 0.458 0.175 0.524
O10 0.388 0.646 0.277
O11 0.696 0.847 0.212
O12 0.841 0.227 0.352
O13 0.052 0.001 0.888
O14 0.141 0.266 0.857
O15 0.542 0.675 0.976
O16 0.398 0.076 0.013
O17 0.435 0.352 0.725
O18 0.448 0.999 0.388
O19 0.080 0.190 0.353
O20 0.304 0.347 0.288
O21 0.369 0.468 0.611
O22 0.159 0.727 0.148
O23 0.452 0.194 0.819
O24 0.631 0.968 0.889
O25 0.919 0.327 0.839
O26 0.692 0.420 0.175
O27 0.081 0.827 0.661
O28 0.952 0.306 0.181
O29 0.308 0.920 0.325
O30 0.158 0.242 0.491
O31 0.591 0.842 0.562
O32 0.939 0.491 0.396
O33 0.861 0.250 0.985
O34 0.804 0.153 0.712
O35 0.658 0.258 0.509
O36 0.816 0.781 0.352
O37 0.867 0.966 0.608
O38 0.235 0.578 0.944
O39 0.846 0.957 0.221
O40 0.286 0.951 0.993
O41 0.633 0.034 0.108
O42 0.584 0.738 0.168
O43 0.365 0.454 0.223
O44 0.946 0.899 0.381
O45 0.150 0.064 0.185
O46 0.808 0.580 0.675
O47 0.042 0.139 0.679
O48 0.561 0.509 0.896
O49 0.059 0.164 0.979
O50 0.898 0.424 0.987
O51 0.169 0.940 0.809
O52 0.669 0.560 0.191
O53 0.361 0.250 0.015
O54 0.061 0.991 0.104
O55 0.745 0.072 0.945
O56 0.842 0.742 0.009
O57 0.997 0.551 0.956
O58 0.735 0.922 0.056
O59 0.416 0.238 0.332
O60 0.888 0.854 0.723
O61 0.054 0.399 0.119
O62 0.139 0.750 0.515
O63 0.102 0.924 0.513
O64 0.135 0.546 0.723
O65 0.559 0.336 0.021
O66 0.554 0.101 0.881
O67 0.765 0.078 0.556
O68 0.581 0.673 0.339
O69 0.497 0.949 0.044
O70 0.439 0.009 0.604
O71 0.859 0.766 0.643
O72 0.265 0.422 0.444
O73 0.419 0.173 0.161
O74 0.684 0.219 0.852
O75 0.316 0.719 0.648
O76 0.542 0.361 0.321
O77 0.503 0.449 0.456
O78 0.367 0.534 0.392
O79 0.661 0.579 0.816
O80 0.214 0.049 0.493
O81 0.639 0.750 0.485
O82 0.612 0.146 0.223
O83 0.935 0.148 0.275
O84 0.341 0.273 0.648
O85 0.606 0.152 0.443
O86 0.458 0.861 0.179
O87 0.154 0.457 0.279
O88 0.958 0.325 0.476
O89 0.654 0.043 0.721
O90 0.786 0.549 0.007
O91 0.565 0.852 0.775
O92 0.112 0.354 0.777
O93 0.641 0.234 0.143
O94 0.106 0.348 0.557
O95 0.342 0.758 0.991
O96 0.948 0.501 0.612
O97 0.192 0.080 0.825
O98 0.065 0.648 0.225
O99 0.941 0.664 0.521
O100 0.580 0.310 0.647
O101 0.420 0.810 0.853
O102 0.003 0.051 0.544
O103 0.839 0.421 0.316
O104 0.091 0.658 0.438
O105 0.650 0.436 0.815
O106 0.916 0.262 0.668
O107 0.084 0.762 0.832
O108 0.161 0.921 0.184
O109 0.350 0.936 0.685
O110 0.755 0.928 0.445
O111 0.548 0.694 0.681
O112 0.331 0.060 0.309
O113 0.394 0.652 0.057
O114 0.552 0.499 0.112
O115 0.346 0.543 0.779
O116 0.042 0.825 0.024
O117 0.865 0.046 0.777
O118 0.359 0.734 0.357
O119 0.635 0.954 0.277
O120 0.184 0.281 0.148
O121 0.920 0.690 0.147
O122 0.659 0.773 0.852
O123 0.850 0.564 0.315
O124 0.958 0.639 0.821
O125 0.245 0.428 0.055
O126 0.831 0.440 0.691
O127 0.909 0.158 0.062
O128 0.446 0.601 0.619
O129 0.196 0.653 0.788
O130 0.133 0.466 0.892
O131 0.894 0.848 0.943
O132 0.441 0.836 0.479
Ba1 0.961 0.995 0.998
Ba2 0.119 0.340 0.966
Ba3 0.255 0.798 0.250
Ba4 0.307 0.150 0.415
Ba5 0.852 0.103 0.167
Ba6 0.591 0.145 0.630
Ba7 0.439 0.013 0.202
Ba8 0.381 0.660 0.466
Ba9 0.289 0.851 0.583
Ba10 0.745 0.298 0.250
Ba11 0.643 0.101 0.333
Ba12 0.392 0.344 0.538
Ba13 0.193 0.850 0.915
Ba14 0.215 0.153 0.585
Ba15 0.276 0.807 0.749
Ba16 0.108 0.656 0.038
Ba17 0.892 0.156 0.462
Ba18 0.608 0.844 0.962
Ba19 0.039 0.495 0.502
Ba20 0.785 0.653 0.915
Ba21 0.285 0.847 0.085
Ba22 0.909 0.855 0.130
Ba23 0.807 0.350 0.585
Ba24 0.949 0.497 0.206
Ba25 0.539 0.005 0.498
Ba26 0.789 0.649 0.417
Ba27 0.148 0.603 0.333
Ba28 0.704 0.654 0.582
Ba29 0.551 0.503 0.706
Ba30 0.776 0.693 0.251
Ba31 0.051 0.997 0.294
Ba32 0.693 0.650 0.085
Ba33 0.061 0.987 0.702
Ba34 0.076 0.652 0.630
Ba35 0.449 0.003 0.794
Ba36 0.576 0.848 0.370
Ba37 0.561 0.513 0.298
Ba38 0.924 0.152 0.870
Ba39 0.296 0.154 0.918
Ba40 0.461 0.505 0.002
Ba41 0.204 0.846 0.418
Ba42 0.143 0.399 0.667
Ba43 0.881 0.840 0.534
Ba44 0.711 0.351 0.917
Ba45 0.211 0.149 0.083
Ba46 0.245 0.202 0.750
Ba47 0.424 0.348 0.130
Ba48 0.755 0.702 0.750
Ba49 0.224 0.193 0.249
Ba50 0.796 0.346 0.082
Ba51 0.724 0.307 0.751
Ba52 0.091 0.355 0.370
Ba53 0.357 0.601 0.167
Ba54 0.648 0.897 0.667
Ba55 0.619 0.160 0.034
Ba56 0.409 0.645 0.870
Ba57 0.715 0.347 0.415
Ba58 0.939 0.487 0.798
Ba59 0.857 0.899 0.833
Ba60 0.352 0.397 0.833



[2]
Crystalline Ac3Np at its relaxed geometry. Source: the Materials Project database, functional PBE.

Volume in Å³/atom: 40.48
Mass density in g cm⁻³: 9.41
DFT formation energy in eV per atom: 0.4617

a = 7.782 Å, b = 7.782 Å, c = 6.174 Å
α = 90.00°, β = 90.00°, γ = 120.00°
Sites, in units of the cell vectors:
Ac1 0.171 0.829 0.250
Ac2 0.171 0.342 0.250
Ac3 0.829 0.171 0.750
Ac4 0.658 0.829 0.250
Ac5 0.829 0.658 0.750
Ac6 0.342 0.171 0.750
Np1 0.667 0.333 0.250
Np2 0.333 0.667 0.750



[3]
Crystalline Tb4C5 at its relaxed geometry. Source: the Materials Project database, functional PBE.

Volume in Å³/atom: 16.40
Mass density in g cm⁻³: 7.83
DFT formation energy in eV per atom: -0.3083

a = 3.695 Å, b = 6.629 Å, c = 12.052 Å
α = 90.00°, β = 90.00°, γ = 90.00°
Sites, in units of the cell vectors:
C1 0.000 0.359 0.735
C2 0.500 0.500 0.500
C3 0.000 0.902 0.657
C4 0.000 0.641 0.265
C5 0.000 0.098 0.343
C6 0.000 0.402 0.843
C7 0.000 0.141 0.235
C8 0.000 0.859 0.765
C9 0.000 0.598 0.157
C10 0.500 0.000 0.000
Tb1 0.000 0.744 0.458
Tb2 0.500 0.394 0.303
Tb3 0.500 0.106 0.803
Tb4 0.000 0.756 0.958
Tb5 0.000 0.244 0.042
Tb6 0.500 0.894 0.197
Tb7 0.500 0.606 0.697
Tb8 0.000 0.256 0.542



[4]
Crystalline Ta3AlFe8 at its relaxed geometry. Source: the Materials Project database, functional PBE.

Volume in Å³/atom: 12.65
Mass density in g cm⁻³: 11.12
DFT formation energy in eV per atom: -0.2190

a = 4.730 Å, b = 4.730 Å, c = 7.837 Å
α = 90.00°, β = 90.00°, γ = 120.00°
Sites, in units of the cell vectors:
Fe1 0.163 0.326 0.251
Fe2 0.333 0.667 0.005
Fe3 0.674 0.837 0.251
Fe4 0.503 0.007 0.749
Fe5 0.993 0.497 0.749
Fe6 0.163 0.837 0.251
Fe7 0.333 0.667 0.502
Fe8 0.503 0.497 0.749
Al1 0.000 0.000 0.562
Ta1 0.667 0.333 0.439
Ta2 0.667 0.333 0.067
Ta3 0.000 0.000 0.926



What is the formula in the first record? Ba5B4O11



The highest mass density belongs to which entry? Ta3AlFe8